Material: Ac3Nd
Method: DFT, r2SCAN
State: optimized geometry

DFT formation energy = 0.02 eV per atom
Theoretical density = 7.8 g/cm³

abc: 7.9941 7.9941 6.3362
angles: 90.00 90.00 120.00
Positions (direct):
Ac 0.1690 0.8310 0.2500
Nd 0.3333 0.6667 0.7500
Ac 0.8309 0.6618 0.7500
Ac 0.3382 0.1691 0.7500
Ac 0.8309 0.1691 0.7500
Ac 0.1690 0.3381 0.2500
Nd 0.6667 0.3333 0.2500
Ac 0.6619 0.8310 0.2500